1.
Compound: CaB2H8O8
Source: the Materials Project database
Functional: GGA-PBE
Structure: optimized geometry

CIF file:
```
data_CaB2H8O8
_chemical_formula_sum 'Ca2 B4 H16 O16'
_cell_length_a 5.7325
_cell_length_b 7.7343
_cell_length_c 7.9863
_cell_angle_alpha 65.27
_cell_angle_beta 71.80
_cell_angle_gamma 72.68
_symmetry_space_group_name_H-M 'P -1'
_symmetry_Int_Tables_number 2
_symmetry_space_group_name_Hall '-P 1'
loop_
_atom_site_label
_atom_site_fract_x
_atom_site_fract_y
_atom_site_fract_z
Ca1 0.1697 0.2344 0.3166
B1 0.1680 0.9744 0.7320
B2 0.3965 0.4353 0.7865
H1 0.0340 0.7442 0.9584
H2 0.1287 0.7967 0.2910
H3 0.1401 0.3617 0.7021
H4 0.3450 0.4577 0.4499
H5 0.3558 0.5704 0.9690
H6 0.3681 0.7998 0.5747
H7 0.4283 0.0554 0.8008
H8 0.4284 0.8279 0.0553
O1 0.0318 0.1291 0.1277
O2 0.0563 0.1848 0.6629
O3 0.1952 0.4797 0.6851
O4 0.2328 0.9165 0.5624
O5 0.2926 0.4653 0.9713
O6 0.3943 0.9340 0.8042
O7 0.4298 0.4251 0.3349
O8 0.4643 0.7660 0.1836
```

---

2.
Compound: Zr3Bi
Source: the Materials Project database
Functional: GGA-PBE
Structure: optimized geometry

CIF file:
```
data_Zr3Bi
_chemical_formula_sum 'Zr24 Bi8'
_cell_length_a 11.5392
_cell_length_b 11.5392
_cell_length_c 5.8755
_cell_angle_alpha 90.00
_cell_angle_beta 90.00
_cell_angle_gamma 90.00
_symmetry_space_group_name_H-M 'I -4'
_symmetry_Int_Tables_number 82
_symmetry_space_group_name_Hall 'I -4'
loop_
_atom_site_label
_atom_site_fract_x
_atom_site_fract_y
_atom_site_fract_z
Zr1 0.0245 0.3546 0.0330
Zr2 0.0793 0.8940 0.2006
Zr3 0.1853 0.7861 0.7676
Bi1 0.0343 0.2889 0.5331
```

---

3.
Compound: NaTi6O12
Source: the Materials Project database
Functional: GGA-PBE
Structure: optimized geometry

CIF file:
```
data_NaTi6O12
_chemical_formula_sum 'Na1 Ti6 O12'
_cell_length_a 5.9577
_cell_length_b 5.9650
_cell_length_c 7.1653
_cell_angle_alpha 85.28
_cell_angle_beta 77.95
_cell_angle_gamma 60.07
_symmetry_space_group_name_H-M 'P 1'
_symmetry_Int_Tables_number 1
_symmetry_space_group_name_Hall 'P 1'
loop_
_atom_site_label
_atom_site_fract_x
_atom_site_fract_y
_atom_site_fract_z
Na1 0.0000 0.0000 0.0000
Ti1 0.0510 0.4728 0.8584
Ti2 0.1336 0.9517 0.5420
Ti3 0.2390 0.4077 0.2467
Ti4 0.5499 0.4810 0.8573
Ti5 0.6377 0.9594 0.5634
Ti6 0.7077 0.4709 0.2556
O1 0.0851 0.2710 0.1107
O2 0.1953 0.6113 0.0066
O3 0.3317 0.6472 0.3659
O4 0.3335 0.1285 0.4229
O5 0.4344 0.2649 0.7445
O6 0.4356 0.7773 0.6971
O7 0.5923 0.2733 0.1114
O8 0.6803 0.6428 0.0077
O9 0.8277 0.1391 0.4214
O10 0.8432 0.6437 0.3697
O11 0.9326 0.2666 0.7480
O12 0.9417 0.7820 0.7006
```

---

4.
Compound: EuPbO3
Source: the Materials Project database
Functional: GGA-PBE
Structure: optimized geometry

CIF file:
```
data_EuPbO3
_chemical_formula_sum 'Eu1 Pb1 O3'
_cell_length_a 4.2848
_cell_length_b 4.2848
_cell_length_c 4.2848
_cell_angle_alpha 90.00
_cell_angle_beta 90.00
_cell_angle_gamma 90.00
_symmetry_space_group_name_H-M 'P m -3 m'
_symmetry_Int_Tables_number 221
_symmetry_space_group_name_Hall '-P 4 2 3'
loop_
_atom_site_label
_atom_site_fract_x
_atom_site_fract_y
_atom_site_fract_z
Eu1 0.0000 0.0000 0.0000
Pb1 0.5000 0.5000 0.5000
O1 0.0000 0.5000 0.5000
```

---

5.
Compound: SrLa4TiAl4O15
Source: the Materials Project database
Functional: GGA-PBE
Structure: optimized geometry

CIF file:
```
data_SrLa4TiAl4O15
_chemical_formula_sum 'Sr2 La8 Ti2 Al8 O30'
_cell_length_a 5.4207
_cell_length_b 27.1585
_cell_length_c 3.8516
_cell_angle_alpha 90.00
_cell_angle_beta 90.00
_cell_angle_gamma 90.00
_symmetry_space_group_name_H-M 'C m m m'
_symmetry_Int_Tables_number 65
_symmetry_space_group_name_Hall '-C 2 2'
loop_
_atom_site_label
_atom_site_fract_x
_atom_site_fract_y
_atom_site_fract_z
Sr1 0.0000 0.0000 0.0000
La1 0.0000 0.1998 0.0000
La2 0.0000 0.3978 0.0000
Ti1 0.0000 0.5000 0.5000
Al1 0.0000 0.1008 0.5000
Al2 0.0000 0.2995 0.5000
O1 0.0000 0.1021 0.0000
O2 0.0000 0.3001 0.0000
O3 0.0000 0.5000 0.0000
O4 0.2477 0.4478 0.5000
O5 0.2489 0.3495 0.5000
O6 0.2500 0.2500 0.5000
```

---

6.
Compound: PdCN2
Source: the Materials Project database
Functional: GGA-PBE
Structure: optimized geometry

CIF file:
```
data_PdCN2
_chemical_formula_sum 'Pd2 C2 N4'
_cell_length_a 8.1168
_cell_length_b 3.0661
_cell_length_c 5.1881
_cell_angle_alpha 90.00
_cell_angle_beta 103.28
_cell_angle_gamma 90.00
_symmetry_space_group_name_H-M 'C 1 2/m 1'
_symmetry_Int_Tables_number 12
_symmetry_space_group_name_Hall '-C 2y'
loop_
_atom_site_label
_atom_site_fract_x
_atom_site_fract_y
_atom_site_fract_z
Pd1 0.0000 0.0000 0.0000
C1 0.0000 0.5000 0.5000
N1 0.0070 0.5000 0.2661
```

---

Number 1: energy -5.96 eV/atom, calculated formation energy -1.93 eV/atom. Number 2: energy -7.63 eV/atom, calculated formation energy -0.25 eV/atom. Number 3: energy -8.57 eV/atom, calculated formation energy -3.31 eV/atom. Number 4: energy -7.36 eV/atom, calculated formation energy -2.01 eV/atom. Number 5: energy -8.00 eV/atom, calculated formation energy -3.67 eV/atom. Number 6: energy -7.33 eV/atom, calculated formation energy 0.26 eV/atom.